## CoSnP2O8 (PBE+U)

Data for a geometry-optimized CoSnP2O8 structure.

a = 4.976 Å, b = 11.747 Å, c = 11.761 Å
α = 61.74°, β = 89.43°, γ = 89.49°
Space group P1 (No. 1)
Inequivalent atoms, fractional coordinates:
1 Co 0.000 0.000 0.000 [1 per cell]
2 Co 0.001 0.500 0.499 [1 per cell]
3 Co 0.116 0.027 0.525 [1 per cell]
4 Co 0.118 0.529 0.026 [1 per cell]
5 Sn 0.516 0.778 0.277 [1 per cell]
6 Sn 0.517 0.279 0.777 [1 per cell]
7 Sn 0.601 0.251 0.249 [1 per cell]
8 Sn 0.601 0.751 0.749 [1 per cell]
9 P 0.161 0.342 0.341 [1 per cell]
10 P 0.161 0.843 0.841 [1 per cell]
11 P 0.468 0.592 0.590 [1 per cell]
12 P 0.470 0.092 0.090 [1 per cell]
13 P 0.648 0.437 0.936 [1 per cell]
14 P 0.652 0.937 0.436 [1 per cell]
15 P 0.956 0.686 0.185 [1 per cell]
16 P 0.957 0.187 0.685 [1 per cell]
17 O 0.208 0.415 0.415 [1 per cell]
18 O 0.211 0.916 0.915 [1 per cell]
19 O 0.261 0.700 0.200 [1 per cell]
20 O 0.262 0.201 0.700 [1 per cell]
21 O 0.309 0.205 0.401 [1 per cell]
22 O 0.309 0.706 0.902 [1 per cell]
23 O 0.309 0.904 0.704 [1 per cell]
24 O 0.312 0.404 0.204 [1 per cell]
25 O 0.323 0.658 0.454 [1 per cell]
26 O 0.324 0.456 0.656 [1 per cell]
27 O 0.325 0.159 0.954 [1 per cell]
28 O 0.329 0.955 0.154 [1 per cell]
29 O 0.347 0.444 0.946 [1 per cell]
30 O 0.351 0.946 0.445 [1 per cell]
31 O 0.384 0.164 0.166 [1 per cell]
32 O 0.385 0.666 0.665 [1 per cell]
33 O 0.734 0.365 0.860 [1 per cell]
34 O 0.735 0.863 0.361 [1 per cell]
35 O 0.769 0.583 0.580 [1 per cell]
36 O 0.772 0.085 0.080 [1 per cell]
37 O 0.790 0.575 0.872 [1 per cell]
38 O 0.794 0.370 0.072 [1 per cell]
39 O 0.795 0.074 0.370 [1 per cell]
40 O 0.795 0.871 0.572 [1 per cell]
41 O 0.806 0.125 0.821 [1 per cell]
42 O 0.807 0.626 0.322 [1 per cell]
43 O 0.808 0.324 0.625 [1 per cell]
44 O 0.808 0.823 0.125 [1 per cell]
45 O 0.856 0.829 0.827 [1 per cell]
46 O 0.857 0.328 0.326 [1 per cell]
47 O 0.906 0.613 0.112 [1 per cell]
48 O 0.914 0.115 0.610 [1 per cell]

Calculated values
crystal system	triclinic
formation energy	-2.32	eV per atom
electronic total energy	-6.856	eV/atom